# 1
## Er2Ga3Ni (GGA-PBE)

Data for crystalline Er2Ga3Ni at its relaxed geometry.

Output
**Calculated formation energy**: -0.645 eV/atom

Lattice parameters (Å, degrees): 10.147 4.325 7.024 90.00 132.60 90.00
Positions (direct):
1 Er 0.000 0.000 0.000
2 Er 0.091 0.000 0.594
3 Er 0.500 0.500 0.000
4 Er 0.591 0.500 0.594
5 Ga 0.210 0.500 0.393
6 Ga 0.372 0.000 0.178
7 Ga 0.399 0.000 0.609
8 Ga 0.710 0.000 0.393
9 Ga 0.872 0.500 0.178
10 Ga 0.899 0.500 0.609
11 Ni 0.214 0.500 0.016
12 Ni 0.714 0.000 0.016

# 2
## ErGaNi (GGA-PBE)

Data for crystalline ErGaNi at its relaxed geometry.

Output
**Calculated formation energy**: -0.615 eV/atom
**Magnetic moment**: 0.00 μB/f.u.

Lattice parameters (Å, degrees): 9.659 4.178 6.777 90.00 129.01 90.00
Positions (direct):
1 Er 0.057 0.000 0.312
2 Er 0.443 0.500 0.688
3 Er 0.557 0.500 0.312
4 Er 0.943 0.000 0.688
5 Ga 0.174 0.500 0.101
6 Ga 0.326 0.000 0.899
7 Ga 0.674 0.000 0.101
8 Ga 0.826 0.500 0.899
9 Ni 0.159 0.500 0.706
10 Ni 0.341 0.000 0.294
11 Ni 0.659 0.000 0.706
12 Ni 0.841 0.500 0.294

# 3
## Er4Ga21Ni10 (GGA-PBE)

Data for crystalline Er4Ga21Ni10 at its relaxed geometry.

Output
**Calculated formation energy**: -0.506 eV/atom
**Magnetic moment**: 0.00 μB/f.u.

Lattice parameters (Å, degrees): 10.644 10.644 15.544 124.50 124.50 21.99
Positions (direct):
1 Er 0.120 0.120 0.333
2 Er 0.229 0.229 0.824
3 Er 0.771 0.771 0.176
4 Er 0.880 0.880 0.667
5 Ga 0.007 0.007 0.091
6 Ga 0.064 0.064 0.795
7 Ga 0.118 0.118 0.555
8 Ga 0.200 0.200 0.002
9 Ga 0.248 0.248 0.294
10 Ga 0.298 0.298 0.497
11 Ga 0.373 0.373 0.806
12 Ga 0.386 0.386 0.295
13 Ga 0.398 0.398 0.003
14 Ga 0.460 0.460 0.632
15 Ga 0.500 0.500 0.500
16 Ga 0.540 0.540 0.368
17 Ga 0.602 0.602 0.997
18 Ga 0.614 0.614 0.705
19 Ga 0.627 0.627 0.194
20 Ga 0.702 0.702 0.503
21 Ga 0.752 0.752 0.706
22 Ga 0.800 0.800 0.998
23 Ga 0.882 0.882 0.445
24 Ga 0.936 0.936 0.205
25 Ga 0.993 0.993 0.909
26 Ni 0.024 0.024 0.606
27 Ni 0.133 0.133 0.102
28 Ni 0.251 0.251 0.615
29 Ni 0.347 0.347 0.112
30 Ni 0.497 0.497 0.814
31 Ni 0.503 0.503 0.186
32 Ni 0.653 0.653 0.888
33 Ni 0.749 0.749 0.385
34 Ni 0.867 0.867 0.898
35 Ni 0.976 0.976 0.394

# 4
## Er3GaNiS7 (GGA-PBE)

Data for crystalline Er3GaNiS7 at its relaxed geometry.

Output
**Calculated formation energy**: -1.742 eV/atom
**Magnetic moment**: 2.00 μB/f.u.

Lattice parameters (Å, degrees): 9.479 9.479 6.163 90.00 90.00 120.00
Positions (direct):
1 Er 0.157 0.375 0.000
2 Er 0.219 0.843 0.000
3 Er 0.375 0.219 0.500
4 Er 0.625 0.781 0.000
5 Er 0.781 0.157 0.500
6 Er 0.843 0.625 0.500
7 Ga 0.333 0.667 0.428
8 Ga 0.667 0.333 0.928
9 Ni 0.000 0.000 0.329
10 Ni 0.000 0.000 0.829
11 S 0.085 0.565 0.267
12 S 0.102 0.233 0.593
13 S 0.131 0.898 0.593
14 S 0.233 0.131 0.093
15 S 0.333 0.667 0.796
16 S 0.435 0.520 0.267
17 S 0.480 0.915 0.267
18 S 0.520 0.085 0.767
19 S 0.565 0.480 0.767
20 S 0.667 0.333 0.296
21 S 0.767 0.869 0.593
22 S 0.869 0.102 0.093
23 S 0.898 0.767 0.093
24 S 0.915 0.435 0.767

# 5
## ErGaO3 (GGA-PBE)

Data for crystalline ErGaO3 at its relaxed geometry.

Output
**Calculated formation energy**: -3.185 eV/atom

Lattice parameters (Å, degrees): 6.075 6.075 11.669 90.00 90.00 120.00
Positions (direct):
1 Er 0.000 0.000 0.000
2 Er 0.000 0.000 0.500
3 Er 0.333 0.667 0.459
4 Er 0.333 0.667 0.959
5 Er 0.667 0.333 0.459
6 Er 0.667 0.333 0.959
7 Ga 0.000 0.334 0.226
8 Ga 0.000 0.666 0.726
9 Ga 0.334 0.000 0.226
10 Ga 0.334 0.334 0.726
11 Ga 0.666 0.000 0.726
12 Ga 0.666 0.666 0.226
13 O 0.000 0.000 0.203
14 O 0.000 0.000 0.703
15 O 0.000 0.309 0.390
16 O 0.000 0.357 0.063
17 O 0.000 0.643 0.563
18 O 0.000 0.691 0.890
19 O 0.309 0.000 0.390
20 O 0.309 0.309 0.890
21 O 0.333 0.667 0.245
22 O 0.333 0.667 0.745
23 O 0.357 0.000 0.063
24 O 0.357 0.357 0.563
25 O 0.643 0.000 0.563
26 O 0.643 0.643 0.063
27 O 0.667 0.333 0.245
28 O 0.667 0.333 0.745
29 O 0.691 0.000 0.890
30 O 0.691 0.691 0.390

# 6
## ErGaO3 (GGA-PBE)

Data for crystalline ErGaO3 at its relaxed geometry.

Output
**Calculated formation energy**: -2.816 eV/atom

Lattice parameters (Å, degrees): 3.818 3.818 3.818 90.00 90.00 90.00
Positions (direct):
1 Er 0.000 0.000 0.000
2 Ga 0.500 0.500 0.500
3 O 0.000 0.500 0.500
4 O 0.500 0.000 0.500
5 O 0.500 0.500 0.000

Q: What is the calculated formation energy in the fourth record?
A: -1.742 eV/atom